No. 1
The following is a DFT calculation (PBE) of crystalline Er3ScS6 at its relaxed geometry.

Total magnetization: 0.00 μB per atom
Excess energy over the best structure of this formula in the dataset: 0.065 eV per atom

Lattice parameters (Å, degrees): 3.874 10.880 11.147 70.96 90.00 90.00
Atoms (fractional coordinates):
Er (0.250, 0.568, 0.831)
Er (0.750, 0.432, 0.169)
Er (0.250, 0.316, 0.502)
Er (0.750, 0.684, 0.498)
Er (0.250, 0.842, 0.081)
Er (0.750, 0.158, 0.919)
Sc (0.250, 0.960, 0.685)
Sc (0.750, 0.040, 0.315)
S (0.250, 0.521, 0.613)
S (0.750, 0.479, 0.387)
S (0.250, 0.082, 0.102)
S (0.750, 0.918, 0.898)
S (0.250, 0.604, 0.061)
S (0.750, 0.396, 0.939)
S (0.250, 0.250, 0.279)
S (0.750, 0.750, 0.721)
S (0.250, 0.898, 0.462)
S (0.750, 0.102, 0.538)
S (0.250, 0.185, 0.748)
S (0.750, 0.815, 0.252)

***

No. 2
The following is a DFT calculation (PBE) of crystalline BaLa2Ti3O10 at its relaxed geometry.

Total magnetization: 0.00 μB per atom
Excess energy over the best structure of this formula in the dataset: 0.003 eV per atom

Lattice parameters (Å, degrees): 14.677 14.677 7.745 90.00 90.00 164.65
Atoms (fractional coordinates):
Ba (0.266, 0.734, 0.259)
Ba (0.734, 0.266, 0.759)
La (0.575, 0.425, 0.258)
La (0.425, 0.575, 0.758)
La (0.426, 0.574, 0.257)
La (0.574, 0.426, 0.757)
Ti (0.000, 0.000, 0.009)
Ti (0.000, 0.000, 0.509)
Ti (0.145, 0.855, 0.009)
Ti (0.855, 0.145, 0.509)
Ti (0.855, 0.145, 0.008)
Ti (0.145, 0.855, 0.508)
O (0.500, 0.500, 0.017)
O (0.500, 0.500, 0.517)
O (0.997, 0.003, 0.261)
O (0.003, 0.997, 0.761)
O (0.872, 0.128, 0.258)
O (0.128, 0.872, 0.758)
O (0.133, 0.867, 0.258)
O (0.867, 0.133, 0.758)
O (0.067, 0.933, 0.018)
O (0.933, 0.067, 0.518)
O (0.934, 0.066, 0.996)
O (0.066, 0.934, 0.496)
O (0.206, 0.794, 0.988)
O (0.794, 0.206, 0.488)
O (0.794, 0.206, 0.031)
O (0.206, 0.794, 0.531)
O (0.630, 0.370, 0.005)
O (0.370, 0.630, 0.505)
O (0.370, 0.630, 0.011)
O (0.630, 0.370, 0.511)

***

No. 3
The following is a DFT calculation (PBE) of crystalline CaF2 at its relaxed geometry.

Excess energy over the best structure of this formula in the dataset: 0.052 eV per atom

Lattice parameters (Å, degrees): 3.643 6.013 7.081 90.00 90.00 90.00
Atoms (fractional coordinates):
Ca (0.250, 0.751, 0.606)
Ca (0.750, 0.249, 0.394)
Ca (0.250, 0.251, 0.894)
Ca (0.750, 0.749, 0.106)
F (0.250, 0.985, 0.339)
F (0.750, 0.015, 0.661)
F (0.250, 0.485, 0.161)
F (0.750, 0.515, 0.839)
F (0.750, 0.141, 0.078)
F (0.250, 0.859, 0.922)
F (0.750, 0.641, 0.422)
F (0.250, 0.359, 0.578)

***

No. 4
The following is a DFT calculation (PBE) of crystalline KTeOF3 at its relaxed geometry.

Total magnetization: 0.00 μB per atom
Excess energy over the best structure of this formula in the dataset: 0.107 eV per atom

Lattice parameters (Å, degrees): 5.888 5.479 8.145 71.76 90.00 90.00
Atoms (fractional coordinates):
K (0.598, 0.323, 0.309)
K (0.098, 0.677, 0.691)
Te (0.118, 0.859, 0.206)
Te (0.618, 0.141, 0.794)
O (0.212, 0.587, 0.384)
O (0.712, 0.413, 0.616)
F (0.152, 0.656, 0.037)
F (0.293, 0.208, 0.815)
F (0.793, 0.792, 0.185)
F (0.494, 0.960, 0.627)
F (0.994, 0.040, 0.373)
F (0.652, 0.344, 0.963)

***

No. 5
The following is a DFT calculation (PBE) of crystalline PrNdZn2 at its relaxed geometry.

Lattice parameters (Å, degrees): 5.239 5.239 5.239 60.00 60.00 60.00
Atoms (fractional coordinates):
Pr (0.000, 0.000, 0.000)
Nd (0.500, 0.500, 0.500)
Zn (0.250, 0.250, 0.250)
Zn (0.750, 0.750, 0.750)

***

No. 6
The following is a DFT calculation (PBE) of crystalline Tm2RuPt at its relaxed geometry.

Lattice parameters (Å, degrees): 4.809 4.809 4.809 60.00 60.00 60.00
Atoms (fractional coordinates):
Tm (0.250, 0.250, 0.250)
Tm (0.750, 0.750, 0.750)
Ru (0.000, 0.000, 0.000)
Pt (0.500, 0.500, 0.500)

***

No. 7
The following is a DFT calculation (PBE) of crystalline Sr3SiO5 at its relaxed geometry.

Lattice parameters (Å, degrees): 7.127 7.127 10.838 90.00 90.00 90.00
Atoms (fractional coordinates):
Sr (0.500, 0.000, 0.487)
Sr (0.000, 0.500, 0.013)
Sr (0.000, 0.500, 0.513)
Sr (0.500, 0.000, 0.987)
Sr (0.197, 0.197, 0.250)
Sr (0.303, 0.697, 0.250)
Sr (0.697, 0.303, 0.250)
Sr (0.803, 0.803, 0.250)
Sr (0.303, 0.303, 0.750)
Sr (0.197, 0.803, 0.750)
Sr (0.803, 0.197, 0.750)
Sr (0.697, 0.697, 0.750)
Si (0.500, 0.500, 0.500)
Si (0.000, 0.000, 0.500)
Si (0.000, 0.000, 0.000)
Si (0.500, 0.500, 0.000)
O (0.500, 0.000, 0.713)
O (0.000, 0.500, 0.787)
O (0.000, 0.500, 0.287)
O (0.500, 0.000, 0.213)
O (0.919, 0.166, 0.092)
O (0.081, 0.834, 0.092)
O (0.166, 0.919, 0.408)
O (0.666, 0.581, 0.092)
O (0.334, 0.419, 0.092)
O (0.581, 0.666, 0.408)
O (0.419, 0.334, 0.408)
O (0.834, 0.081, 0.408)
O (0.581, 0.334, 0.908)
O (0.419, 0.666, 0.908)
O (0.334, 0.581, 0.592)
O (0.834, 0.919, 0.908)
O (0.666, 0.419, 0.592)
O (0.081, 0.166, 0.592)
O (0.919, 0.834, 0.592)
O (0.166, 0.081, 0.908)

***

No. 8
The following is a DFT calculation (PBE) of crystalline Lu3S4 at its relaxed geometry.

Lattice parameters (Å, degrees): 6.548 6.548 6.548 131.57 131.57 70.90
Atoms (fractional coordinates):
Lu (0.250, 0.750, 0.500)
Lu (0.500, 0.500, 0.000)
Lu (0.750, 0.250, 0.500)
S (0.000, 0.500, 0.500)
S (0.249, 0.249, 0.000)
S (0.500, 0.000, 0.500)
S (0.751, 0.751, 0.000)

***

no.,raw total energy (eV/atom),energy of formation (meV/atom)
1,-6.4399,-2256.2
2,-8.5612,-3680.8
3,-5.8070,-4170.1
4,-4.5423,-2396.9
5,-3.3299,-312.8
6,-6.9541,-879.8
7,-6.8736,-3340.4
8,-6.3028,-2289.0